Record 1
Entry from Materials Project: a geometry-optimized Li6V3P8O29 structure (GGA+U).

Calculated values
calculated formation energy	-61.345	kcal/mol of atoms

Lattice parameters (Å, degrees): 9.806 9.818 13.925 89.98 89.97 60.18
Atoms (fractional coordinates):
Li 0.229 0.094 0.560
Li 0.093 0.679 0.559
Li 0.331 0.328 0.886
Li 0.236 0.673 0.064
Li 0.671 0.097 0.064
Li 0.324 0.772 0.439
Li 0.680 0.228 0.558
Li 0.769 0.335 0.943
Li 0.905 0.325 0.436
Li 0.771 0.905 0.438
Li 0.900 0.764 0.941
Li 0.041 0.017 0.000
V 0.433 0.568 0.250
V 0.566 0.436 0.751
V 0.430 0.997 0.753
V 0.565 0.999 0.249
V 0.003 0.429 0.245
V 0.996 0.568 0.748
P 0.087 0.225 0.842
P 0.232 0.086 0.342
P 0.087 0.680 0.342
P 0.334 0.334 0.127
P 0.334 0.333 0.628
P 0.225 0.683 0.843
P 0.319 0.768 0.659
P 0.685 0.089 0.844
P 0.310 0.914 0.157
P 0.679 0.232 0.341
P 0.772 0.316 0.158
P 0.669 0.665 0.371
P 0.665 0.668 0.873
P 0.914 0.317 0.655
P 0.766 0.915 0.658
P 0.912 0.771 0.158
O 0.002 0.247 0.564
O 0.085 0.251 0.341
O 0.211 0.995 0.072
O 0.257 0.084 0.839
O 0.099 0.376 0.833
O 0.193 0.325 0.170
O 0.094 0.522 0.323
O 0.999 0.774 0.068
O 0.077 0.662 0.838
O 0.327 0.188 0.669
O 0.382 0.098 0.322
O 0.186 0.488 0.667
O 0.335 0.338 0.018
O 0.341 0.334 0.521
O 0.323 0.490 0.165
O 0.520 0.108 0.830
O 0.490 0.189 0.164
O 0.252 0.663 0.343
O 0.208 0.789 0.751
O 0.240 0.757 0.568
O 0.218 0.767 0.934
O 0.373 0.519 0.831
O 0.485 0.331 0.673
O 0.340 0.742 0.163
O 0.520 0.381 0.322
O 0.662 0.084 0.342
O 0.210 0.994 0.255
O 0.247 0.999 0.434
O 0.755 0.003 0.568
O 0.331 0.919 0.660
O 0.479 0.621 0.675
O 0.670 0.252 0.845
O 0.513 0.674 0.332
O 0.619 0.471 0.170
O 0.777 0.225 0.069
O 0.756 0.246 0.431
O 0.791 0.207 0.250
O 0.750 0.333 0.656
O 0.516 0.808 0.828
O 0.466 0.914 0.167
O 0.670 0.512 0.831
O 0.672 0.657 0.980
O 0.668 0.669 0.479
O 0.815 0.512 0.331
O 0.615 0.908 0.678
O 0.675 0.813 0.330
O 0.916 0.339 0.162
O 0.009 0.205 0.744
O 0.994 0.215 0.924
O 0.903 0.477 0.678
O 0.812 0.674 0.832
O 0.904 0.622 0.171
O 0.746 0.919 0.160
O 0.770 0.996 0.933
O 0.790 0.002 0.750
O 0.914 0.750 0.657
O 0.997 0.759 0.432
O 0.000 0.793 0.251

---

Record 2
Entry from Materials Project: a geometry-optimized VZnF6 structure (GGA+U).

Calculated values
calculated formation energy	-64.974	kcal/mol of atoms

Lattice parameters (Å, degrees): 5.479 5.479 5.479 58.10 58.10 58.10
Atoms (fractional coordinates):
V 0.000 0.000 0.000
Zn 0.500 0.500 0.500
F 0.673 0.850 0.237
F 0.850 0.237 0.673
F 0.763 0.327 0.150
F 0.150 0.763 0.327
F 0.327 0.150 0.763
F 0.237 0.673 0.850

---

Record 3
Entry from Materials Project: a geometry-optimized HoV2O2 structure (GGA+U).

Calculated values
calculated formation energy	-28.669	kcal/mol of atoms

Lattice parameters (Å, degrees): 7.669 7.669 7.669 114.33 114.33 100.14
Atoms (fractional coordinates):
Ho 0.875 0.125 0.250
Ho 0.875 0.625 0.750
Ho 0.375 0.125 0.250
Ho 0.875 0.125 0.750
V 0.510 0.303 0.793
V 0.510 0.717 0.207
V 0.467 0.760 0.707
V 0.240 0.533 0.293
V 0.240 0.947 0.707
V 0.053 0.760 0.293
V 0.283 0.490 0.793
V 0.697 0.490 0.207
O 0.653 0.309 0.657
O 0.653 0.996 0.343
O 0.746 0.903 0.843
O 0.097 0.254 0.157
O 0.097 0.941 0.843
O 0.059 0.903 0.157
O 0.004 0.347 0.657
O 0.691 0.347 0.343

---

no.,calculated total energy (Ry/atom)
1,-0.5158
2,-0.3666
3,-0.5011